## ZnGeRh2 (GGA-PBE)

Data for an optimized crystal structure of ZnGeRh2.

Structure (POSCAR):
```
ZnGeRh2
1.0
0.0000 3.0431 3.0431
3.0431 0.0000 3.0431
3.0431 3.0431 0.0000
Ge Rh Zn
1 2 1
direct
0.5000 0.5000 0.5000
0.2500 0.2500 0.2500
0.7500 0.7500 0.7500
0.0000 0.0000 0.0000
```

ΔH_f (0 K), eV/atom: -0.50

---

## VGaTc2 (GGA-PBE)

Data for an optimized crystal structure of VGaTc2.

Structure (POSCAR):
```
VGaTc2
1.0
0.0000 3.0464 3.0464
3.0464 0.0000 3.0464
3.0464 3.0464 0.0000
Ga Tc V
1 2 1
direct
0.5000 0.5000 0.5000
0.2500 0.2500 0.2500
0.7500 0.7500 0.7500
0.0000 0.0000 0.0000
```

ΔH_f (0 K), eV/atom: -0.24

---

## CrPb2 (GGA-PBE)

Data for an optimized crystal structure of CrPb2.

Structure (POSCAR):
```
CrPb2
1.0
-2.7277 -5.3863 1.6132
-1.8360 -4.9959 -3.2750
3.7761 -5.2314 0.2711
Pb Cr
4 2
direct
0.5340 0.5340 0.7098
0.8244 0.8244 0.1078
0.1756 0.1756 0.8922
0.4660 0.4660 0.2902
0.8267 0.8267 0.6052
0.1733 0.1733 0.3948
```

ΔH_f (0 K), eV/atom: 0.51

---

Copy entry 1 word for word.
## ZnGeRh2 (GGA-PBE)

Data for an optimized crystal structure of ZnGeRh2.

Structure (POSCAR):
```
ZnGeRh2
1.0
0.0000 3.0431 3.0431
3.0431 0.0000 3.0431
3.0431 3.0431 0.0000
Ge Rh Zn
1 2 1
direct
0.5000 0.5000 0.5000
0.2500 0.2500 0.2500
0.7500 0.7500 0.7500
0.0000 0.0000 0.0000
```

ΔH_f (0 K), eV/atom: -0.50

---

The lowest ΔH_f (0 K) belongs to which entry?
ZnGeRh2

---

Repeat the second record exactly.
## VGaTc2 (GGA-PBE)

Data for an optimized crystal structure of VGaTc2.

Structure (POSCAR):
```
VGaTc2
1.0
0.0000 3.0464 3.0464
3.0464 0.0000 3.0464
3.0464 3.0464 0.0000
Ga Tc V
1 2 1
direct
0.5000 0.5000 0.5000
0.2500 0.2500 0.2500
0.7500 0.7500 0.7500
0.0000 0.0000 0.0000
```

ΔH_f (0 K), eV/atom: -0.24

---

What is the formula in the second record?
VGaTc2